Record 1
Density functional theory data (PBE-GGA) for a geometry-optimized YAl3 structure.

Lattice parameters (Å, degrees): 7.972 7.972 4.285 90.00 90.00 120.00
Element x y z (fractional)
Y1 0.333 0.667 0.250
Y2 0.667 0.333 0.750
Al1 0.120 0.240 0.250
Al2 0.880 0.120 0.750
Al3 0.240 0.120 0.750
Al4 0.760 0.880 0.250
Al5 0.120 0.880 0.250
Al6 0.880 0.760 0.750

Formation energy from the elements = 0.509 eV/atom
Crystal system = hexagonal

=====

Record 2
Density functional theory data (PBE-GGA) for a geometry-optimized MnAsRu structure.

Lattice parameters (Å, degrees): 6.549 6.549 3.610 90.00 90.00 120.00
Element x y z (fractional)
Mn1 0.596 0.000 0.500
Mn2 0.404 0.404 0.500
Mn3 0.000 0.596 0.500
As1 0.333 0.667 0.000
As2 0.667 0.333 0.000
As3 0.000 0.000 0.500
Ru1 0.000 0.258 0.000
Ru2 0.258 0.000 0.000
Ru3 0.742 0.742 0.000

Formation energy from the elements = -0.210 eV/atom
Crystal system = hexagonal

=====

Record 3
Density functional theory data (PBE-GGA) for a geometry-optimized ZrAlPt structure.

Lattice parameters (Å, degrees): 7.157 7.157 3.663 90.00 90.00 120.00
Element x y z (fractional)
Zr1 0.000 0.401 0.500
Zr2 0.599 0.599 0.500
Zr3 0.401 0.000 0.500
Al1 0.000 0.743 0.000
Al2 0.257 0.257 0.000
Al3 0.743 0.000 0.000
Pt1 0.333 0.667 0.000
Pt2 0.667 0.333 0.000
Pt3 0.000 0.000 0.500

Formation energy from the elements = -1.040 eV/atom
Crystal system = hexagonal

=====

Record 4
Density functional theory data (PBE-GGA) for a geometry-optimized K2NiP2 structure.

Lattice parameters (Å, degrees): 7.623 7.623 5.611 90.00 90.00 130.18
Element x y z (fractional)
K1 0.583 0.417 0.750
K2 0.213 0.787 0.750
K3 0.417 0.583 0.250
K4 0.787 0.213 0.250
Ni1 0.000 0.000 0.000
Ni2 0.000 0.000 0.500
P1 0.070 0.270 0.750
P2 0.270 0.070 0.250
P3 0.930 0.730 0.250
P4 0.730 0.930 0.750

Formation energy from the elements = -0.465 eV/atom
Crystal system = orthorhombic

=====

Record 5
Density functional theory data (PBE-GGA) for a geometry-optimized Na4CaGe3P6O24 structure.

Lattice parameters (Å, degrees): 8.683 8.679 21.987 90.08 89.98 119.81
Element x y z (fractional)
Na1 0.652 0.014 0.246
Na2 0.365 0.350 0.246
Na3 0.986 0.636 0.246
Na4 0.988 0.366 0.745
Na5 0.381 0.007 0.745
Na6 0.710 0.678 0.417
Na7 0.013 0.014 0.501
Na8 0.000 0.000 0.999
Na9 0.665 0.348 0.835
Na10 0.665 0.318 0.333
Na11 0.333 0.666 0.158
Na12 0.350 0.663 0.661
Ca1 0.009 0.009 0.360
Ca2 0.665 0.342 0.682
Ca3 0.667 0.335 0.167
Ge1 0.999 0.998 0.858
Ge2 0.997 0.997 0.644
Ge3 0.002 0.002 0.143
Ge4 0.667 0.333 0.984
Ge5 0.666 0.328 0.485
Ge6 0.334 0.667 0.013
Ge7 0.331 0.667 0.521
Ge8 0.332 0.667 0.316
Ge9 0.338 0.665 0.816
P1 0.290 0.991 0.248
P2 0.702 0.711 0.252
P3 0.008 0.298 0.249
P4 0.274 0.285 0.755
P5 0.010 0.724 0.755
P6 0.713 0.981 0.754
P7 0.971 0.334 0.585
P8 0.363 0.030 0.585
P9 0.666 0.639 0.581
P10 0.976 0.641 0.080
P11 0.664 0.024 0.081
P12 0.359 0.335 0.081
P13 0.623 0.663 0.916
P14 0.040 0.377 0.916
P15 0.338 0.961 0.916
P16 0.603 0.961 0.420
P17 0.350 0.390 0.422
P18 0.038 0.643 0.421
O1 0.218 0.030 0.305
O2 0.801 0.777 0.311
O3 0.965 0.185 0.305
O4 0.185 0.172 0.812
O5 0.989 0.812 0.813
O6 0.828 0.012 0.811
O7 0.797 0.958 0.694
O8 0.156 0.203 0.697
O9 0.042 0.840 0.697
O10 0.798 0.839 0.196
O11 0.044 0.209 0.191
O12 0.166 0.957 0.191
O13 0.914 0.371 0.645
O14 0.457 0.085 0.645
O15 0.623 0.536 0.639
O16 0.931 0.555 0.142
O17 0.625 0.071 0.143
O18 0.445 0.375 0.143
O19 0.468 0.302 0.030
O20 0.835 0.533 0.030
O21 0.698 0.165 0.030
O22 0.465 0.166 0.532
O23 0.700 0.545 0.525
O24 0.836 0.301 0.532
O25 0.535 0.698 0.971
O26 0.166 0.468 0.969
O27 0.304 0.835 0.969
O28 0.504 0.841 0.474
O29 0.342 0.495 0.476
O30 0.153 0.662 0.475
O31 0.122 0.627 0.358
O32 0.501 0.879 0.358
O33 0.377 0.500 0.360
O34 0.120 0.491 0.856
O35 0.372 0.880 0.856
O36 0.504 0.626 0.859
O37 0.006 0.800 0.421
O38 0.785 0.977 0.420
O39 0.191 0.208 0.424
O40 0.018 0.187 0.911
O41 0.169 0.981 0.911
O42 0.811 0.831 0.911
O43 0.982 0.159 0.588
O44 0.178 0.020 0.589
O45 0.842 0.823 0.587
O46 0.986 0.825 0.084
O47 0.838 0.012 0.084
O48 0.175 0.161 0.083
O49 0.688 0.144 0.751
O50 0.456 0.303 0.753
O51 0.854 0.537 0.753
O52 0.670 0.524 0.242
O53 0.856 0.335 0.240
O54 0.479 0.144 0.240
O55 0.642 0.495 0.925
O56 0.853 0.359 0.924
O57 0.506 0.147 0.924
O58 0.613 0.144 0.426
O59 0.527 0.382 0.424
O60 0.853 0.468 0.424
O61 0.336 0.497 0.065
O62 0.161 0.664 0.065
O63 0.503 0.840 0.066
O64 0.330 0.840 0.572
O65 0.512 0.677 0.571
O66 0.160 0.491 0.573
O67 0.292 0.810 0.254
O68 0.516 0.706 0.256
O69 0.189 0.480 0.256
O70 0.285 0.472 0.759
O71 0.187 0.712 0.758
O72 0.524 0.810 0.758

Formation energy from the elements = -2.533 eV/atom
Crystal system = triclinic

=====

Record 6
Density functional theory data (PBE-GGA) for a geometry-optimized Er2TiCuO6 structure.

Lattice parameters (Å, degrees): 3.593 11.304 3.593 90.00 120.00 90.00
Element x y z (fractional)
Er1 0.000 0.272 0.000
Er2 0.000 0.724 0.000
Ti1 0.333 0.998 0.667
Cu1 0.667 0.498 0.333
O1 0.333 0.163 0.667
O2 0.667 0.668 0.333
O3 0.000 0.998 0.000
O4 0.000 0.498 0.000
O5 0.667 0.329 0.333
O6 0.333 0.832 0.667

Formation energy from the elements = -3.142 eV/atom
Crystal system = trigonal

=====

Repeat the fourth record exactly.
Density functional theory data (PBE-GGA) for a geometry-optimized K2NiP2 structure.

Lattice parameters (Å, degrees): 7.623 7.623 5.611 90.00 90.00 130.18
Element x y z (fractional)
K1 0.583 0.417 0.750
K2 0.213 0.787 0.750
K3 0.417 0.583 0.250
K4 0.787 0.213 0.250
Ni1 0.000 0.000 0.000
Ni2 0.000 0.000 0.500
P1 0.070 0.270 0.750
P2 0.270 0.070 0.250
P3 0.930 0.730 0.250
P4 0.730 0.930 0.750

Formation energy from the elements = -0.465 eV/atom
Crystal system = orthorhombic

=====

Among the records above, which one has the highest formation energy from the elements? YAl3